(1)
An optimized crystal structure of ThAu3, computed with GGA-PBE.

Computed properties:
ΔE_f	-0.619	eV per atom
total DFT energy (no corrections)	-19.71	eV per cell

a = 5.0026 Å, b = 5.0026 Å, c = 5.0026 Å
α = 60.00°, β = 60.00°, γ = 60.00°
Last column: nearest neighbours and their distance in Å.
Element x y z (fractional)
Th 0.0000 0.0000 0.0000  8 Au 3.06
Au 0.2500 0.2500 0.2500  4 Th 3.06, 4 Au 3.06
Au 0.7500 0.7500 0.7500  4 Th 3.06, 4 Au 3.06
Au 0.5000 0.5000 0.5000  8 Au 3.06

***

(2)
An optimized crystal structure of ThAu, computed with GGA-PBE.

Computed properties:
ΔE_f	-0.615	eV per atom
total DFT energy (no corrections)	-23.84	eV per cell

a = 6.3026 Å, b = 6.3026 Å, c = 4.6072 Å
α = 90.00°, β = 90.00°, γ = 145.02°
Last column: nearest neighbours and their distance in Å.
Element x y z (fractional)
Th 0.8488 0.1512 0.7500  7 Au 3.12-3.32
Th 0.1512 0.8488 0.2500  7 Au 3.12-3.32
Au 0.5753 0.4247 0.7500  2 Au 2.93, 4 Th 3.12
Au 0.4247 0.5753 0.2500  2 Au 2.93, 4 Th 3.12

***

(3)
An optimized crystal structure of ThAu2, computed with GGA-PBE.

Computed properties:
ΔE_f	-0.719	eV per atom
total DFT energy (no corrections)	-16.12	eV per cell

a = 3.4469 Å, b = 4.8207 Å, c = 4.8207 Å
α = 120.00°, β = 90.00°, γ = 90.00°
Last column: nearest neighbours and their distance in Å.
Element x y z (fractional)
Th 0.0000 0.0000 0.0000  12 Au 3.27, 2 Th 3.45
Au 0.5000 0.3333 0.6667  3 Au 2.78
Au 0.5000 0.6667 0.3333  3 Au 2.78

***

(4)
An optimized crystal structure of ThZnAu2, computed with GGA-PBE.

Computed properties:
ΔE_f	-0.551	eV per atom
total DFT energy (no corrections)	-17.42	eV per cell

a = 4.9849 Å, b = 4.9849 Å, c = 4.9849 Å
α = 60.00°, β = 60.00°, γ = 60.00°
Last column: nearest neighbours and their distance in Å.
Element x y z (fractional)
Th 0.5000 0.5000 0.5000  8 Au 3.05
Zn 0.0000 0.0000 0.0000  8 Au 3.05
Au 0.7500 0.7500 0.7500  4 Th 3.05, 4 Zn 3.05
Au 0.2500 0.2500 0.2500  4 Th 3.05, 4 Zn 3.05

***

(5)
An optimized crystal structure of Tl2Au, computed with GGA-PBE.

Computed properties:
ΔE_f	-0.025	eV per atom
total DFT energy (no corrections)	-16.15	eV per cell

a = 6.1748 Å, b = 6.1748 Å, c = 6.1748 Å
α = 101.43°, β = 101.43°, γ = 127.12°
Last column: nearest neighbours and their distance in Å.
Element x y z (fractional)
Tl 0.6522 0.1522 0.8045  2 Au 2.97
Tl 0.1522 0.3478 0.5000  2 Au 2.97
Tl 0.8478 0.6522 0.5000  2 Au 2.97
Tl 0.3478 0.8478 0.1955  2 Au 2.97
Au 0.5000 0.5000 0.0000  2 Au 2.75, 4 Tl 2.97
Au 0.0000 0.0000 0.0000  2 Au 2.75, 4 Tl 2.97

***

(6)
An optimized crystal structure of TlAu3, computed with GGA-PBE.

Computed properties:
magnetization	0.0	μB per cell
ΔE_f	0.081	eV per atom
total DFT energy (no corrections)	-11.86	eV per cell

a = 5.4599 Å, b = 5.4599 Å, c = 5.4599 Å
α = 134.69°, β = 134.69°, γ = 66.01°
Last column: nearest neighbours and their distance in Å.
Element x y z (fractional)
Tl 0.0000 0.0000 0.0000  12 Au 2.97-3.11
Au 0.7500 0.2500 0.5000  8 Au 2.97-3.11, 4 Tl 3.11
Au 0.2500 0.7500 0.5000  8 Au 2.97-3.11, 4 Tl 3.11
Au 0.5000 0.5000 0.0000  4 Tl 2.97, 8 Au 3.11

***

(7)
An optimized crystal structure of TlAu3, computed with GGA-PBE.

Computed properties:
magnetization	0.0	μB per cell
ΔE_f	0.109	eV per atom
total DFT energy (no corrections)	-11.75	eV per cell

a = 4.3261 Å, b = 4.3261 Å, c = 4.3261 Å
α = 90.00°, β = 90.00°, γ = 90.00°
Last column: nearest neighbours and their distance in Å.
Element x y z (fractional)
Tl 0.0000 0.0000 0.0000  12 Au 3.06
Au 0.0000 0.5000 0.5000  4 Tl 3.06, 8 Au 3.06
Au 0.5000 0.0000 0.5000  4 Tl 3.06, 8 Au 3.06
Au 0.5000 0.5000 0.0000  4 Tl 3.06, 8 Au 3.06

***

(8)
An optimized crystal structure of Tl2Au, computed with GGA-PBE.

Computed properties:
ΔE_f	-0.038	eV per atom
total DFT energy (no corrections)	-16.23	eV per cell

a = 6.0149 Å, b = 6.0149 Å, c = 6.0149 Å
α = 103.27°, β = 103.27°, γ = 122.75°
Last column: nearest neighbours and their distance in Å.
Element x y z (fractional)
Tl 0.1549 0.6549 0.8097  4 Au 3.17, 3 Tl 3.27-3.51
Tl 0.3451 0.1549 0.5000  4 Au 3.17, 3 Tl 3.27-3.51
Tl 0.6549 0.8451 0.5000  4 Au 3.17, 3 Tl 3.27-3.51
Tl 0.8451 0.3451 0.1903  4 Au 3.17, 3 Tl 3.27-3.51
Au 0.2500 0.2500 0.0000  2 Au 2.88, 8 Tl 3.17
Au 0.7500 0.7500 0.0000  2 Au 2.88, 8 Tl 3.17

***

(9)
An optimized crystal structure of TmAu4, computed with GGA-PBE.

Computed properties:
ΔE_f	-0.606	eV per atom
total DFT energy (no corrections)	-20.60	eV per cell

a = 4.2057 Å, b = 5.2248 Å, c = 5.2248 Å
α = 80.68°, β = 66.27°, γ = 66.27°
Last column: nearest neighbours and their distance in Å.
Element x y z (fractional)
Tm 0.0000 0.0000 0.0000  12 Au 3.00-3.03
Au 0.2001 0.3998 0.2001  3 Tm 3.00-3.03, 9 Au 3.00-3.02
Au 0.7999 0.6002 0.7999  3 Tm 3.00-3.03, 9 Au 3.00-3.02
Au 0.4002 0.7999 0.3998  3 Tm 3.00-3.03, 9 Au 3.00-3.02
Au 0.5998 0.2001 0.6002  3 Tm 3.00-3.03, 9 Au 3.00-3.02

***

(10)
An optimized crystal structure of TmAu3, computed with GGA-PBE.

Computed properties:
ΔE_f	-0.725	eV per atom
total DFT energy (no corrections)	-34.40	eV per cell

a = 5.0349 Å, b = 5.1760 Å, c = 6.0846 Å
α = 90.00°, β = 90.00°, γ = 90.00°
Last column: nearest neighbours and their distance in Å.
Element x y z (fractional)
Tm 0.7500 0.3453 0.7500  12 Au 2.99-3.08
Tm 0.2500 0.6547 0.2500  12 Au 2.99-3.08
Au 0.2500 0.6572 0.7500  8 Au 2.98-3.10, 4 Tm 2.99-3.04
Au 0.2500 0.1586 0.5039  8 Au 2.98-3.10, 4 Tm 3.00-3.08
Au 0.2500 0.1586 0.9961  8 Au 2.98-3.10, 4 Tm 3.00-3.08
Au 0.7500 0.8414 0.0039  8 Au 2.98-3.10, 4 Tm 3.00-3.08
Au 0.7500 0.3428 0.2500  8 Au 2.98-3.10, 4 Tm 2.99-3.04
Au 0.7500 0.8414 0.4961  8 Au 2.98-3.10, 4 Tm 3.00-3.08

***

(11)
An optimized crystal structure of Tm2Au, computed with GGA-PBE.

Computed properties:
ΔE_f	-0.662	eV per atom
total DFT energy (no corrections)	-56.85	eV per cell

a = 4.8736 Å, b = 7.0246 Å, c = 8.8256 Å
α = 90.00°, β = 90.00°, γ = 90.00°
Last column: nearest neighbours and their distance in Å.
Element x y z (fractional)
Tm 0.2500 0.8496 0.9237  4 Au 2.87-3.00
Tm 0.2500 0.3496 0.5763  4 Au 2.87-3.00
Tm 0.7500 0.1504 0.0763  4 Au 2.87-3.00
Tm 0.7500 0.6504 0.4237  4 Au 2.87-3.00
Tm 0.2500 0.4814 0.1789  3 Au 2.94-3.13
Tm 0.2500 0.9814 0.3211  3 Au 2.94-3.13
Tm 0.7500 0.5186 0.8211  3 Au 2.94-3.13
Tm 0.7500 0.0186 0.6789  3 Au 2.94-3.13
Au 0.2500 0.2563 0.8977  7 Tm 2.87-3.13
Au 0.2500 0.7563 0.6023  7 Tm 2.87-3.13
Au 0.7500 0.7437 0.1023  7 Tm 2.87-3.13
Au 0.7500 0.2437 0.3977  7 Tm 2.87-3.13

***

(12)
An optimized crystal structure of Tm2ZnAu, computed with GGA-PBE.

Computed properties:
ΔE_f	-0.626	eV per atom
total DFT energy (no corrections)	-15.99	eV per cell

a = 5.0066 Å, b = 5.0066 Å, c = 5.0066 Å
α = 60.00°, β = 60.00°, γ = 60.00°
Last column: nearest neighbours and their distance in Å.
Element x y z (fractional)
Tm 0.2500 0.2500 0.2500  4 Zn 3.07, 4 Au 3.07
Tm 0.7500 0.7500 0.7500  4 Au 3.07, 4 Zn 3.07
Zn 0.0000 0.0000 0.0000  8 Tm 3.07
Au 0.5000 0.5000 0.5000  8 Tm 3.07

***

(13)
An optimized crystal structure of UAu2, computed with GGA-PBE.

Computed properties:
ΔE_f	-0.281	eV per atom
total DFT energy (no corrections)	-18.68	eV per cell

a = 3.0150 Å, b = 4.8792 Å, c = 4.8792 Å
α = 120.00°, β = 90.00°, γ = 90.00°
Last column: nearest neighbours and their distance in Å.
Element x y z (fractional)
U 0.0000 0.0000 0.0000  2 U 3.02, 12 Au 3.20
Au 0.5000 0.3333 0.6667  5 Au 2.82-3.02
Au 0.5000 0.6667 0.3333  5 Au 2.82-3.02

***

(14)
An optimized crystal structure of V3Au, computed with GGA-PBE.

Computed properties:
magnetization	0.9	μB per cell
polymorph energy (0 for the lowest one)	101	meV/atom
ΔE_f	0.065	eV per atom
total DFT energy (no corrections)	-30.27	eV per cell

a = 3.8784 Å, b = 3.8784 Å, c = 3.8784 Å
α = 90.00°, β = 90.00°, γ = 90.00°
Last column: nearest neighbours and their distance in Å.
Element x y z (fractional)
V 0.5000 0.5000 0.0000  4 Au 2.74, 8 V 2.74
V 0.5000 0.0000 0.5000  4 Au 2.74, 8 V 2.74
V 0.0000 0.5000 0.5000  4 Au 2.74, 8 V 2.74
Au 0.0000 0.0000 0.0000  12 V 2.74

***

(15)
An optimized crystal structure of VAu4, computed with GGA-PBE.

Computed properties:
ΔE_f	0.005	eV per atom
total DFT energy (no corrections)	-22.15	eV per cell

a = 4.0634 Å, b = 5.0415 Å, c = 5.0415 Å
α = 80.65°, β = 66.23°, γ = 66.23°
Last column: nearest neighbours and their distance in Å.
Element x y z (fractional)
V 0.0000 0.0000 0.0000  12 Au 2.88-2.91
Au 0.2051 0.3984 0.1915  9 Au 2.85-3.00, 3 V 2.88-2.91
Au 0.7949 0.6016 0.8085  9 Au 2.85-3.00, 3 V 2.88-2.91
Au 0.3966 0.8085 0.3984  9 Au 2.85-3.00, 3 V 2.88-2.91
Au 0.6034 0.1915 0.6016  9 Au 2.85-3.00, 3 V 2.88-2.91

***

(16)
An optimized crystal structure of VAu3, computed with GGA-PBE.

Computed properties:
magnetization	5.3	μB per cell
ΔE_f	0.059	eV per atom
total DFT energy (no corrections)	-37.34	eV per cell

a = 5.8536 Å, b = 5.8536 Å, c = 4.6998 Å
α = 90.00°, β = 90.00°, γ = 120.00°
Last column: nearest neighbours and their distance in Å.
Element x y z (fractional)
V 0.3333 0.6667 0.7500  12 Au 2.88-2.93
V 0.6667 0.3333 0.2500  12 Au 2.88-2.93
Au 0.1694 0.3387 0.2500  4 V 2.88-2.93, 8 Au 2.88-2.97
Au 0.6613 0.8306 0.2500  4 V 2.88-2.93, 8 Au 2.88-2.97
Au 0.1694 0.8306 0.2500  4 V 2.88-2.93, 8 Au 2.88-2.97
Au 0.8306 0.6613 0.7500  4 V 2.88-2.93, 8 Au 2.88-2.97
Au 0.3387 0.1694 0.7500  4 V 2.88-2.93, 8 Au 2.88-2.97
Au 0.8306 0.1694 0.7500  4 V 2.88-2.93, 8 Au 2.88-2.97

***

(17)
An optimized crystal structure of V3Au, computed with GGA-PBE.

Computed properties:
polymorph energy (0 for the lowest one)	0	meV/atom
ΔE_f	-0.036	eV per atom
total DFT energy (no corrections)	-61.34	eV per cell

a = 4.8811 Å, b = 4.8811 Å, c = 4.8811 Å
α = 90.00°, β = 90.00°, γ = 90.00°
Last column: nearest neighbours and their distance in Å.
Element x y z (fractional)
V 0.5000 0.2500 0.0000  2 V 2.44, 4 Au 2.73
V 0.5000 0.7500 0.0000  2 V 2.44, 4 Au 2.73
V 0.2500 0.0000 0.5000  2 V 2.44, 4 Au 2.73
V 0.7500 0.0000 0.5000  2 V 2.44, 4 Au 2.73
V 0.0000 0.5000 0.2500  2 V 2.44, 4 Au 2.73
V 0.0000 0.5000 0.7500  2 V 2.44, 4 Au 2.73
Au 0.5000 0.5000 0.5000  12 V 2.73
Au 0.0000 0.0000 0.0000  12 V 2.73

***

(18)
An optimized crystal structure of WAu3, computed with GGA-PBE.

Computed properties:
magnetization	0.6	μB per cell
ΔE_f	0.515	eV per atom
total DFT energy (no corrections)	-20.72	eV per cell

a = 4.8983 Å, b = 4.8983 Å, c = 4.8983 Å
α = 128.67°, β = 128.67°, γ = 75.54°
Last column: nearest neighbours and their distance in Å.
Element x y z (fractional)
W 0.0000 0.0000 0.0000  12 Au 2.87-3.00
Au 0.7500 0.2500 0.5000  4 W 2.87, 8 Au 2.87-3.00
Au 0.2500 0.7500 0.5000  4 W 2.87, 8 Au 2.87-3.00
Au 0.5000 0.5000 0.0000  8 Au 2.87, 4 W 3.00

***

(19)
An optimized crystal structure of YAu, computed with GGA-PBE.

Computed properties:
ΔE_f	-0.886	eV per atom
total DFT energy (no corrections)	-23.02	eV per cell

a = 5.8413 Å, b = 5.8413 Å, c = 4.7009 Å
α = 90.00°, β = 90.00°, γ = 142.72°
Last column: nearest neighbours and their distance in Å.
Element x y z (fractional)
Y 0.8610 0.1390 0.7500  7 Au 3.03-3.12
Y 0.1390 0.8610 0.2500  7 Au 3.03-3.12
Au 0.5870 0.4130 0.7500  7 Y 3.03-3.12, 2 Au 3.04
Au 0.4130 0.5870 0.2500  7 Y 3.03-3.12, 2 Au 3.04

***

(20)
An optimized crystal structure of YAu, computed with GGA-PBE.

Computed properties:
ΔE_f	-0.865	eV per atom
total DFT energy (no corrections)	-11.47	eV per cell

a = 3.6156 Å, b = 3.6156 Å, c = 3.6156 Å
α = 90.00°, β = 90.00°, γ = 90.00°
Last column: nearest neighbours and their distance in Å.
Element x y z (fractional)
Y 0.5000 0.5000 0.5000  8 Au 3.13
Au 0.0000 0.0000 0.0000  8 Y 3.13